# 1
Here is EuZrS3 after structural relaxation from Materials Project. Energies are from PBE-GGA.

```
EuZrS3
1.0
-5.139 0.371 -4.342
-2.712 -6.014 2.696
-5.120 5.226 6.506
Eu Zr S
4 4 12
direct
0.473 0.586 0.250
0.027 0.086 0.250
0.527 0.414 0.750
0.973 0.914 0.750
0.000 0.500 0.000
0.500 0.000 0.500
0.000 0.500 0.500
0.500 0.000 0.000
0.894 0.474 0.250
0.606 0.974 0.250
0.106 0.526 0.750
0.394 0.026 0.750
0.687 0.692 0.944
0.813 0.192 0.556
0.313 0.308 0.444
0.187 0.808 0.056
0.313 0.308 0.056
0.187 0.808 0.444
0.687 0.692 0.556
0.813 0.192 0.944
```

Values from the calculation:
**MP2020-corrected energy**: -8.332 eV/atom
**DFT total energy**: -8.0298 eV per atom
**Formation energy**: -10.44 eV/f.u.

=====

# 2
Here is Ti3V3Si5 after structural relaxation from Materials Project. Energies are from PBE-GGA.

```
Ti3V3Si5
1.0
0.000 0.000 -5.108
0.000 -8.052 0.000
-7.742 -4.026 -2.554
Ti V Si
6 6 10
direct
0.350 0.350 0.299
0.650 0.650 0.701
0.500 0.000 0.500
0.000 0.500 0.500
0.500 0.500 0.500
0.000 0.000 0.500
0.084 0.805 0.833
0.084 0.362 0.833
0.916 0.638 0.167
0.916 0.195 0.167
0.758 0.000 0.000
0.242 0.000 0.000
0.199 0.699 0.601
0.801 0.301 0.399
0.740 0.500 0.000
0.260 0.500 0.000
0.159 0.159 0.682
0.841 0.841 0.318
0.398 0.087 0.204
0.398 0.710 0.204
0.602 0.290 0.796
0.602 0.913 0.796
```

Values from the calculation:
**MP2020-corrected energy**: -7.529 eV/atom
**DFT total energy**: -7.5618 eV per atom
**Formation energy**: -4.76 eV/f.u.

=====

# 3
Here is Pr2B5 after structural relaxation from Materials Project. Energies are from PBE-GGA.

```
Pr2B5
1.0
3.668 7.655 0.000
-3.668 7.655 0.000
0.000 2.455 6.940
Pr B
8 20
direct
0.944 0.819 0.222
0.181 0.056 0.278
0.056 0.181 0.778
0.819 0.944 0.722
0.452 0.310 0.096
0.690 0.548 0.404
0.548 0.690 0.904
0.310 0.452 0.596
0.797 0.289 0.150
0.711 0.203 0.350
0.203 0.711 0.850
0.289 0.797 0.650
0.408 0.093 0.907
0.907 0.592 0.593
0.592 0.907 0.093
0.093 0.408 0.407
0.959 0.539 0.830
0.461 0.041 0.670
0.041 0.461 0.170
0.539 0.959 0.330
0.829 0.671 0.040
0.329 0.171 0.460
0.171 0.329 0.960
0.671 0.829 0.540
0.089 0.590 0.938
0.410 0.911 0.562
0.911 0.410 0.062
0.590 0.089 0.438
```

Values from the calculation:
**DFT total energy**: -6.6253 eV per atom
**Formation energy**: -3.42 eV/f.u.

=====

# 4
Here is NaLi2BP2O8 after structural relaxation from Materials Project. Energies are from PBE-GGA.

```
NaLi2BP2O8
1.0
4.444 -1.140 3.039
0.450 7.002 2.602
-6.609 -2.944 3.665
Na Li B P O
2 4 2 4 16
direct
0.254 0.881 0.741
0.746 0.119 0.259
0.310 0.501 0.858
0.690 0.499 0.142
0.855 0.470 0.598
0.145 0.530 0.402
0.749 0.046 0.766
0.251 0.954 0.234
0.622 0.774 0.453
0.378 0.226 0.547
0.855 0.752 0.946
0.145 0.248 0.054
0.967 0.180 0.852
0.033 0.820 0.148
0.502 0.862 0.283
0.498 0.138 0.717
0.013 0.666 0.826
0.987 0.334 0.174
0.800 0.624 0.404
0.200 0.376 0.596
0.723 0.934 0.890
0.277 0.066 0.110
0.646 0.627 0.946
0.354 0.373 0.054
0.801 0.933 0.606
0.199 0.067 0.394
0.414 0.713 0.514
0.586 0.287 0.486
```

Values from the calculation:
**MP2020-corrected energy**: -7.183 eV/atom
**DFT total energy**: -6.7909 eV per atom
**Formation energy**: -38.34 eV/f.u.

=====

# 5
Here is LiZrRh2 after structural relaxation from Materials Project. Energies are from PBE-GGA.

```
LiZrRh2
1.0
0.000 3.148 3.148
3.148 0.000 3.148
3.148 3.148 0.000
Li Zr Rh
1 1 2
direct
0.500 0.500 0.500
0.000 0.000 0.000
0.250 0.250 0.250
0.750 0.750 0.750
```

Values from the calculation:
**DFT total energy**: -6.9289 eV per atom
**Formation energy**: -2.53 eV/f.u.

=====

# 6
Here is CsK5Zn4Sn5S17 after structural relaxation from Materials Project. Energies are from PBE-GGA.

```
CsK5Zn4Sn5S17
1.0
8.924 -6.449 0.467
-10.512 -3.092 -1.179
1.727 5.349 -9.479
Cs K Zn Sn S
1 5 4 5 17
direct
0.750 0.250 0.500
0.761 0.761 0.521
0.761 0.239 0.000
0.239 0.239 0.479
0.500 0.500 0.000
0.239 0.761 0.000
0.278 0.139 0.139
0.861 0.722 0.861
0.001 0.139 0.861
0.861 0.999 0.139
0.224 0.448 0.224
0.250 0.750 0.500
0.224 0.000 0.776
0.552 0.776 0.776
0.000 0.776 0.224
0.139 0.145 0.721
0.990 0.272 0.281
0.855 0.576 0.994
0.424 0.145 0.006
0.855 0.861 0.279
0.990 0.709 0.719
0.728 0.010 0.719
0.394 0.751 0.357
0.963 0.606 0.357
0.424 0.418 0.279
0.394 0.037 0.643
0.249 0.606 0.643
0.139 0.418 0.994
0.582 0.861 0.006
0.291 0.010 0.281
0.000 0.000 0.000
0.582 0.576 0.721
```

Values from the calculation:
**MP2020-corrected energy**: -4.272 eV/atom
**DFT total energy**: -4.0045 eV per atom
**Formation energy**: -34.84 eV/f.u.

=====

# 7
Here is La4Bi2O9 after structural relaxation from Materials Project. Energies are from PBE-GGA.

```
La4Bi2O9
1.0
5.849 0.000 0.000
-0.133 5.853 0.000
-0.567 -2.857 8.765
La Bi O
4 2 9
direct
0.480 0.510 0.001
0.016 0.652 0.295
0.505 0.826 0.638
0.458 0.149 0.283
0.928 0.996 0.017
0.076 0.243 0.607
0.740 0.852 0.168
0.233 0.338 0.147
0.803 0.933 0.520
0.729 0.334 0.152
0.274 0.483 0.491
0.219 0.816 0.112
0.268 0.979 0.454
0.683 0.711 0.838
0.319 0.184 0.781
```

Values from the calculation:
**MP2020-corrected energy**: -7.886 eV/atom
**DFT total energy**: -7.4740 eV per atom
**Formation energy**: -46.24 eV/f.u.

=====

# 8
Here is Te2MoWS2 after structural relaxation from Materials Project. Energies are from PBE-GGA.

```
Te2MoWS2
1.0
-1.577 2.649 -1.333
-1.097 -1.332 2.882
22.994 23.572 19.646
Te Mo W S
4 2 2 4
direct
0.000 0.000 0.331
0.000 0.000 0.707
0.000 0.000 0.232
0.000 0.000 0.608
0.000 0.000 0.094
0.333 0.667 0.282
0.000 0.000 0.470
0.333 0.667 0.658
0.333 0.667 0.054
0.333 0.667 0.430
0.333 0.667 0.133
0.333 0.667 0.509
```

Values from the calculation:
**MP2020-corrected energy**: -6.990 eV/atom
**DFT total energy**: -6.8224 eV per atom
**Distance to the lowest polymorph of the same formula**: 37 meV per atom
**Formation energy**: -3.58 eV/f.u.

=====

# 9
Here is CsCNO after structural relaxation from Materials Project. Energies are from PBE-GGA.

```
CsCNO
1.0
-3.334 3.343 4.046
3.334 -3.343 4.046
3.334 3.343 -4.046
Cs C N O
2 2 2 2
direct
0.249 0.000 0.249
0.749 0.500 0.249
0.001 0.248 0.749
0.501 0.752 0.753
0.129 0.122 0.751
0.629 0.878 0.007
0.871 0.380 0.750
0.371 0.620 0.491
```

Values from the calculation:
**Maximum piezoelectric response**: 0.26 C/m²
**MP2020-corrected energy**: -7.004 eV/atom
**DFT total energy**: -6.8319 eV per atom
**Formation energy**: -4.61 eV/f.u.

=====

# 10
Here is Tm2GeO5 after structural relaxation from Materials Project. Energies are from PBE-GGA.

```
Tm2GeO5
1.0
-2.934 -6.279 -0.400
5.969 -2.852 0.987
0.514 -0.824 9.168
Tm Ge O
8 4 20
direct
0.872 0.271 0.029
0.628 0.771 0.029
0.863 0.469 0.360
0.637 0.969 0.360
0.363 0.031 0.640
0.137 0.531 0.640
0.372 0.229 0.971
0.128 0.729 0.971
0.405 0.478 0.301
0.095 0.978 0.301
0.905 0.022 0.699
0.595 0.522 0.699
0.139 0.010 0.105
0.613 0.074 0.109
0.361 0.510 0.105
0.887 0.574 0.109
0.915 0.181 0.281
0.306 0.015 0.392
0.585 0.681 0.281
0.571 0.288 0.390
0.194 0.515 0.392
0.929 0.788 0.390
0.071 0.212 0.610
0.806 0.485 0.608
0.429 0.712 0.610
0.415 0.319 0.719
0.694 0.985 0.608
0.085 0.819 0.719
0.113 0.426 0.891
0.639 0.490 0.895
0.387 0.926 0.891
0.861 0.990 0.895
```

Values from the calculation:
**MP2020-corrected energy**: -8.175 eV/atom
**DFT total energy**: -7.7461 eV per atom
**Distance to the lowest polymorph of the same formula**: 17 meV per atom
**Formation energy**: -27.09 eV/f.u.

=====

# 11
Here is SiAs3 after structural relaxation from Materials Project. Energies are from PBE-GGA.

```
SiAs3
1.0
-1.873 1.873 5.472
1.873 -1.873 5.472
1.873 1.873 -5.472
Si As
1 3
direct
0.000 0.000 0.000
0.750 0.250 0.500
0.250 0.750 0.500
0.500 0.500 0.000
```

Values from the calculation:
**DFT total energy**: -4.3462 eV per atom
**Distance to the lowest polymorph of the same formula**: 159 meV per atom
**Formation energy**: 2.02 eV/f.u.

=====

# 12
Here is Ba2PbS3O12 after structural relaxation from Materials Project. Energies are from PBE-GGA.

```
Ba2PbS3O12
1.0
5.548 0.000 0.000
0.000 7.214 0.000
0.000 0.141 26.661
Ba Pb S O
8 4 12 48
direct
0.500 0.841 0.395
0.500 0.841 0.729
0.000 0.341 0.105
0.000 0.342 0.439
0.000 0.342 0.772
0.000 0.158 0.271
0.000 0.159 0.605
0.000 0.159 0.939
0.500 0.667 0.229
0.500 0.667 0.563
0.500 0.666 0.897
0.500 0.833 0.063
0.000 0.687 0.311
0.000 0.687 0.644
0.000 0.687 0.979
0.000 0.813 0.146
0.000 0.811 0.480
0.000 0.811 0.814
0.500 0.313 0.021
0.500 0.312 0.354
0.500 0.312 0.687
0.500 0.187 0.187
0.500 0.189 0.521
0.500 0.189 0.854
0.000 0.547 0.270
0.000 0.547 0.604
0.000 0.551 0.937
0.000 0.950 0.104
0.000 0.946 0.438
0.000 0.946 0.771
0.500 0.456 0.061
0.500 0.451 0.395
0.500 0.451 0.728
0.500 0.044 0.228
0.500 0.045 0.562
0.500 0.045 0.895
0.221 0.808 0.305
0.220 0.808 0.638
0.222 0.809 0.974
0.778 0.691 0.140
0.780 0.689 0.476
0.780 0.689 0.809
0.718 0.191 0.027
0.719 0.190 0.359
0.719 0.190 0.693
0.282 0.309 0.193
0.282 0.310 0.527
0.281 0.310 0.860
0.282 0.191 0.027
0.281 0.190 0.359
0.281 0.190 0.693
0.718 0.309 0.193
0.718 0.310 0.527
0.719 0.310 0.860
0.779 0.808 0.305
0.780 0.808 0.638
0.778 0.809 0.974
0.222 0.691 0.140
0.220 0.689 0.476
0.220 0.689 0.809
0.000 0.600 0.029
0.000 0.604 0.362
0.000 0.604 0.695
0.000 0.900 0.196
0.000 0.902 0.530
0.000 0.902 0.863
0.500 0.400 0.303
0.500 0.400 0.637
0.500 0.398 0.970
0.500 0.103 0.137
0.500 0.105 0.470
0.500 0.105 0.804
```

Values from the calculation:
**MP2020-corrected energy**: -6.845 eV/atom
**DFT total energy**: -6.3871 eV per atom
**Formation energy**: -43.88 eV/f.u.